Entry from Materials Project: an optimized crystal structure of PmMgCd2 (meta-GGA r2SCAN).

Cell: 7.2664 7.2664 7.2664 Å, 90.00 90.00 90.00°
With the nearest neighbours (Å) after each atom.
Space group Fm-3m (No. 225)
Unique sites:
Pm  0.0000  0.0000  0.0000  8 Cd 3.15
Mg  0.0000  0.0000  0.5000  8 Cd 3.15
Cd  0.2500  0.2500  0.2500  4 Mg 3.15, 4 Pm 3.15

***

Entry from Materials Project: an optimized crystal structure of Pm2MgCd (meta-GGA r2SCAN).

Cell: 7.6711 7.6711 7.6711 Å, 90.00 90.00 90.00°
With the nearest neighbours (Å) after each atom.
Space group Fm-3m (No. 225)
Unique sites:
Pm  0.2500  0.2500  0.2500  4 Cd 3.32, 4 Mg 3.32
Mg  0.0000  0.0000  0.0000  8 Pm 3.32
Cd  0.0000  0.0000  0.5000  8 Pm 3.32

***

Entry from Materials Project: an optimized crystal structure of PrMgCd2 (meta-GGA r2SCAN).

Cell: 7.3423 7.3423 7.3423 Å, 90.00 90.00 90.00°
With the nearest neighbours (Å) after each atom.
Space group Fm-3m (No. 225)
Unique sites:
Pr  0.0000  0.0000  0.0000  8 Cd 3.18
Mg  0.0000  0.0000  0.5000  8 Cd 3.18
Cd  0.2500  0.2500  0.2500  4 Pr 3.18, 4 Mg 3.18

***

Entry from Materials Project: an optimized crystal structure of SmMgCd2 (meta-GGA r2SCAN).

Cell: 7.2439 7.2439 7.2439 Å, 90.00 90.00 90.00°
With the nearest neighbours (Å) after each atom.
Space group Fm-3m (No. 225)
Unique sites:
Sm  0.0000  0.0000  0.0000  8 Cd 3.14
Mg  0.0000  0.0000  0.5000  8 Cd 3.14
Cd  0.2500  0.2500  0.2500  4 Mg 3.14, 4 Sm 3.14

***

Entry from Materials Project: an optimized crystal structure of Sm2MgCd (meta-GGA r2SCAN).

Cell: 7.6377 7.6377 7.6377 Å, 90.00 90.00 90.00°
With the nearest neighbours (Å) after each atom.
Space group Fm-3m (No. 225)
Unique sites:
Sm  0.2500  0.2500  0.2500  4 Cd 3.31, 4 Mg 3.31
Mg  0.0000  0.0000  0.0000  8 Sm 3.31
Cd  0.0000  0.0000  0.5000  8 Sm 3.31

***

Entry from Materials Project: an optimized crystal structure of TbMgCd2 (meta-GGA r2SCAN).

Cell: 7.1693 7.1693 7.1693 Å, 90.00 90.00 90.00°
With the nearest neighbours (Å) after each atom.
Space group Fm-3m (No. 225)
Unique sites:
Tb  0.0000  0.0000  0.0000  8 Cd 3.10
Mg  0.0000  0.0000  0.5000  8 Cd 3.10
Cd  0.2500  0.2500  0.2500  4 Tb 3.10, 4 Mg 3.10

***

Entry from Materials Project: an optimized crystal structure of Tm2MgCd (meta-GGA r2SCAN).

Cell: 7.3974 7.3974 7.3974 Å, 90.00 90.00 90.00°
With the nearest neighbours (Å) after each atom.
Space group Fm-3m (No. 225)
Unique sites:
Tm  0.2500  0.2500  0.2500  4 Cd 3.20, 4 Mg 3.20
Mg  0.0000  0.0000  0.0000  8 Tm 3.20
Cd  0.0000  0.0000  0.5000  8 Tm 3.20

***

Entry from Materials Project: an optimized crystal structure of MnCd4Te5 (meta-GGA r2SCAN).

Cell: 10.2983 10.2983 6.5132 Å, 90.00 90.00 90.00°
With the nearest neighbours (Å) after each atom.
Space group I-4 (No. 82)
Unique sites:
Mn  0.0000  0.0000  0.0000  4 Te 2.74
Cd  0.1007  0.2982  0.5016  4 Te 2.84
Te  0.0000  0.5000  0.2500  4 Cd 2.84
Te  0.0970  0.8054  0.7579  1 Mn 2.74, 3 Cd 2.84

***

Entry from Materials Project: an optimized crystal structure of MnCd2Te3 (meta-GGA r2SCAN).

Cell: 4.6032 4.6032 11.1869 Å, 90.00 90.00 120.00°
With the nearest neighbours (Å) after each atom.
Space group P3m1 (No. 156)
Unique sites:
Mn  0.0000  0.0000  0.0000  4 Te 2.74-2.78
Cd  0.3333  0.6667  0.6735  4 Te 2.83-2.85
Cd  0.6667  0.3333  0.3328  4 Te 2.83-2.84
Te  0.0000  0.0000  0.2448  1 Mn 2.74, 3 Cd 2.83
Te  0.3333  0.6667  0.9280  3 Mn 2.78, 1 Cd 2.85
Te  0.6667  0.3333  0.5863  4 Cd 2.83-2.84

***

Entry from Materials Project: an optimized crystal structure of Na2Cd11 (meta-GGA r2SCAN).

Cell: 9.6216 9.6216 9.6216 Å, 90.00 90.00 90.00°
With the nearest neighbours (Å) after each atom.
Space group Pm-3 (No. 200)
Unique sites:
Na  0.0000  0.3020  0.5000  12 Cd 3.28-3.52
Cd  0.0000  0.0000  0.2323  10 Cd 2.98-3.16
Cd  0.0000  0.5000  0.1591  5 Cd 2.86-3.06
Cd  0.2186  0.2186  0.2186  6 Cd 2.97-2.98
Cd  0.2331  0.5000  0.3435  9 Cd 2.86-3.16
Cd  0.5000  0.5000  0.5000  12 Cd 2.98

***

Entry from Materials Project: an optimized crystal structure of Na3Cd (meta-GGA r2SCAN).

Cell: 6.9713 6.9713 5.6156 Å, 90.00 90.00 120.00°
With the nearest neighbours (Å) after each atom.
Space group P6_3/mmc (No. 194)
Unique sites:
Na  0.1741  0.3482  0.2500  8 Na 3.33-3.64, 4 Cd 3.40-3.49
Cd  0.3333  0.6667  0.7500  12 Na 3.40-3.49

***

Entry from Materials Project: an optimized crystal structure of Na3Cd (meta-GGA r2SCAN).

Cell: 7.7525 7.7525 7.7525 Å, 90.00 90.00 90.00°
With the nearest neighbours (Å) after each atom.
Space group Fm-3m (No. 225)
Unique sites:
Na  0.0000  0.0000  0.0000  8 Na 3.36
Na  0.2500  0.2500  0.2500  4 Cd 3.36, 4 Na 3.36
Cd  0.0000  0.0000  0.5000  8 Na 3.36

***

Entry from Materials Project: an optimized crystal structure of Na3Cd (meta-GGA r2SCAN).

Cell: 5.1690 5.1690 8.7435 Å, 90.00 90.00 90.00°
With the nearest neighbours (Å) after each atom.
Space group I4/mmm (No. 139)
Unique sites:
Na  0.0000  0.0000  0.0000  8 Na 3.38, 4 Cd 3.66
Na  0.0000  0.5000  0.2500  4 Cd 3.38, 8 Na 3.38-3.66
Cd  0.0000  0.0000  0.5000  12 Na 3.38-3.66

***

Entry from Materials Project: an optimized crystal structure of NaCd2Pd (meta-GGA r2SCAN).

Cell: 6.7213 6.7213 6.7213 Å, 90.00 90.00 90.00°
With the nearest neighbours (Å) after each atom.
Space group Fm-3m (No. 225)
Unique sites:
Na  0.0000  0.0000  0.0000  8 Cd 2.91
Cd  0.2500  0.2500  0.2500  4 Pd 2.91, 4 Na 2.91
Pd  0.0000  0.0000  0.5000  8 Cd 2.91

***

Entry from Materials Project: an optimized crystal structure of Na4Cd3Se5 (meta-GGA r2SCAN).

Cell: 14.1000 4.2626 20.2557 Å, 90.00 90.00 90.00°
With the nearest neighbours (Å) after each atom.
Space group Pnma (No. 62)
Unique sites:
Na  0.0015  0.2500  0.2328  5 Se 2.83-3.08
Na  0.0065  0.2500  0.5815  5 Se 3.07-3.15
Na  0.1111  0.2500  0.0518  5 Se 3.01-3.07, 1 Na 3.29
Na  0.2238  0.7500  0.6663  5 Se 2.94-3.13, 1 Na 3.29
Cd  0.0758  0.2500  0.8701  4 Se 2.64-2.74
Cd  0.1829  0.7500  0.2831  4 Se 2.63-2.74
Cd  0.2063  0.2500  0.4647  4 Se 2.67-2.69
Se  0.1066  0.7500  0.9460  3 Cd 2.66-2.67
Se  0.1143  0.2500  0.3485  3 Cd 2.69, 1 Na 2.83
Se  0.1145  0.7500  0.1564  2 Cd 2.74, 2 Na 3.01
Se  0.1380  0.2500  0.7470  2 Cd 2.63-2.64, 2 Na 2.93
Se  0.1460  0.7500  0.5318  2 Cd 2.67, 1 Na 2.94

***

Entry from Materials Project: an optimized crystal structure of Nb2Cd2O7 (meta-GGA r2SCAN).

Cell: 10.4643 10.4643 10.4643 Å, 90.00 90.00 90.00°
With the nearest neighbours (Å) after each atom.
Space group Fd-3m (No. 227, origin choice 2)
Unique sites:
Nb  0.0000  0.0000  0.0000  6 O 1.99
Cd  0.0000  0.0000  0.5000  2 O 2.27
O  0.0694  0.3750  0.3750  2 Nb 1.99
O  0.1250  0.1250  0.6250  4 Cd 2.27

***

Entry from Materials Project: an optimized crystal structure of Nb2Cd2O7 (meta-GGA r2SCAN).

Cell: 7.3846 10.4763 7.4409 Å, 90.00 90.00 90.00°
With the nearest neighbours (Å) after each atom.
Space group Ima2 (No. 46)
Unique sites:
Nb  0.0000  0.0000  0.0000  6 O 1.91-2.08
Nb  0.2500  0.2442  0.2441  6 O 1.90-2.11
Cd  0.0000  0.0000  0.4973  4 O 2.27-2.53
Cd  0.2500  0.7431  0.7545  3 O 2.27-2.52
O  0.0528  0.1243  0.2113  2 Nb 1.94-2.08
O  0.0586  0.1272  0.8246  2 Nb 1.91-2.04
O  0.2500  0.1785  0.5129  2 Nb 1.90-2.11
O  0.2500  0.5678  0.5218  2 Nb 1.98
O  0.2500  0.6258  0.0116  4 Cd 2.27

***

Magnetization, record by record: 0.000; 0.000; 0.000; 0.000; 0.002; 0.000; 0.000; 10.000; 5.000; 0.000; 0.000; 0.000; 0.000; 0.000; 0.000; 0.000; 0.000 μB/cell
Formation energy from the elements, record by record: -0.377; -0.236; -0.368; -0.372; -0.230; -0.361; -0.216; -0.580; -0.582; -0.094; -0.025; -0.028; -0.024; -0.227; -1.040; -2.243; -2.245 eV per atom